# 1
The following is a PBE calculation of an optimized crystal structure of CrCd3Te4, from the Materials Project.

V (Å³/cell): 279
SG: P-43m, No. 215
Energy of formation from the pure elements (eV per atom): -0.30
Crystal system: cubic

a b c (Å): 6.538 6.538 6.538
angles (deg): 90.00 90.00 90.00
Positions (direct):
Cd1 0.000 0.500 0.500
Cd2 0.500 0.500 0.000
Cd3 0.500 0.000 0.500
Te1 0.240 0.760 0.760
Te2 0.240 0.240 0.240
Te3 0.760 0.760 0.240
Te4 0.760 0.240 0.760
Cr1 0.000 0.000 0.000



# 2
The following is a PBE calculation of an optimized crystal structure of CsErCdTe3, from the Materials Project.

V (Å³/cell): 466
SG: Cmcm, No. 63
Energy of formation from the pure elements (eV per atom): -1.28
Crystal system: orthorhombic

a b c (Å): 4.527 8.978 11.841
angles (deg): 90.00 90.00 104.60
Positions (direct):
Cs1 0.751 0.502 0.250
Cs2 0.249 0.498 0.750
Te1 0.619 0.238 0.955
Te2 0.935 0.870 0.750
Te3 0.619 0.238 0.545
Te4 0.065 0.130 0.250
Te5 0.381 0.762 0.455
Te6 0.381 0.762 0.045
Er1 0.000 0.000 0.500
Er2 0.000 0.000 0.000
Cd1 0.538 0.075 0.750
Cd2 0.462 0.925 0.250



# 3
The following is a PBE calculation of an optimized crystal structure of CsCdF3, from the Materials Project.

V (Å³/cell): 95
SG: Pm-3m, No. 221
Energy of formation from the pure elements (eV per atom): -2.71
Crystal system: cubic

a b c (Å): 4.563 4.563 4.563
angles (deg): 90.00 90.00 90.00
Positions (direct):
Cd1 0.500 0.500 0.500
Cs1 0.000 0.000 0.000
F1 0.500 0.000 0.500
F2 0.500 0.500 0.000
F3 0.000 0.500 0.500



# 4
The following is a PBE calculation of an optimized crystal structure of Cs2CdGe3S8, from the Materials Project.

V (Å³/cell): 1702
SG: P2_12_12_1, No. 19
Energy of formation from the pure elements (eV per atom): -0.98
Crystal system: orthorhombic

a b c (Å): 7.570 12.974 17.331
angles (deg): 90.00 90.00 90.00
Positions (direct):
Ge1 0.531 0.971 0.154
Ge2 0.469 0.471 0.346
Ge3 0.731 0.953 0.823
Ge4 0.269 0.453 0.677
Ge5 0.769 0.047 0.323
Ge6 0.969 0.029 0.654
Ge7 0.261 0.446 0.018
Ge8 0.231 0.547 0.177
Ge9 0.239 0.554 0.518
Ge10 0.031 0.529 0.846
Ge11 0.761 0.054 0.982
Ge12 0.739 0.946 0.482
S1 0.210 0.125 0.650
S2 0.268 0.615 0.057
S3 0.710 0.375 0.350
S4 0.484 0.585 0.448
S5 0.768 0.885 0.943
S6 0.984 0.915 0.552
S7 0.507 0.387 0.969
S8 0.012 0.424 0.740
S9 0.501 0.384 0.730
S10 0.734 0.127 0.656
S11 0.790 0.625 0.850
S12 0.988 0.924 0.760
S13 0.266 0.627 0.844
S14 0.714 0.121 0.863
S15 0.993 0.613 0.469
S16 0.016 0.415 0.948
S17 0.232 0.385 0.557
S18 0.007 0.113 0.031
S19 0.512 0.076 0.260
S20 0.001 0.116 0.270
S21 0.286 0.621 0.637
S22 0.493 0.887 0.531
S23 0.234 0.373 0.344
S24 0.999 0.616 0.230
S25 0.290 0.875 0.150
S26 0.732 0.115 0.443
S27 0.516 0.085 0.052
S28 0.786 0.879 0.363
S29 0.214 0.379 0.137
S30 0.499 0.884 0.770
S31 0.488 0.576 0.240
S32 0.766 0.873 0.156
Cd1 0.972 0.499 0.348
Cd2 0.028 0.999 0.152
Cd3 0.472 0.001 0.652
Cd4 0.528 0.501 0.848
Cs1 0.231 0.195 0.848
Cs2 0.752 0.633 0.055
Cs3 0.748 0.367 0.555
Cs4 0.769 0.695 0.652
Cs5 0.252 0.867 0.945
Cs6 0.731 0.305 0.152
Cs7 0.269 0.805 0.348
Cs8 0.248 0.133 0.445



# 5
The following is a PBE calculation of an optimized crystal structure of Cs3CdH5, from the Materials Project.

V (Å³/cell): 469
SG: I4/mcm, No. 140
Energy of formation from the pure elements (eV per atom): -0.25
Crystal system: tetragonal

a b c (Å): 8.796 8.796 8.796
angles (deg): 121.64 121.64 87.18
Positions (direct):
H1 0.959 0.215 0.500
H2 0.215 0.715 0.256
H3 0.785 0.285 0.744
H4 0.285 0.541 0.500
H5 0.459 0.959 0.744
H6 0.715 0.459 0.500
H7 0.541 0.041 0.256
H8 0.000 0.000 0.000
H9 0.500 0.500 0.000
H10 0.041 0.785 0.500
Cs1 0.818 0.318 0.136
Cs2 0.318 0.182 0.500
Cs3 0.750 0.750 0.000
Cs4 0.682 0.818 0.500
Cs5 0.182 0.682 0.864
Cs6 0.250 0.250 0.000
Cd1 0.250 0.750 0.500
Cd2 0.750 0.250 0.500



# 6
The following is a PBE calculation of an optimized crystal structure of CsCdI3O, from the Materials Project.

V (Å³/cell): 1044
SG: Pc, No. 7
Energy of formation from the pure elements (eV per atom): -0.73
Crystal system: monoclinic

a b c (Å): 8.111 8.411 15.307
angles (deg): 88.79 90.00 90.00
Positions (direct):
I1 0.056 0.432 0.731
I2 0.978 0.205 0.005
I3 0.479 0.954 0.014
I4 0.458 0.488 0.382
I5 0.542 0.488 0.882
I6 0.521 0.954 0.514
I7 0.022 0.205 0.505
I8 0.238 0.945 0.241
I9 0.762 0.945 0.741
I10 0.944 0.432 0.231
I11 0.022 0.726 0.984
I12 0.978 0.726 0.484
Cd1 0.781 0.959 0.925
Cd2 0.119 0.464 0.396
Cd3 0.881 0.464 0.896
Cd4 0.219 0.959 0.425
Cs1 0.480 0.385 0.138
Cs2 0.520 0.385 0.638
Cs3 0.726 0.921 0.263
Cs4 0.274 0.921 0.763
O1 0.446 0.765 0.151
O2 0.554 0.765 0.651
O3 0.214 0.262 0.739
O4 0.786 0.262 0.239



# 7
The following is a PBE calculation of an optimized crystal structure of CsCdInTe3, from the Materials Project.

V (Å³/cell): 2052
SG: C2/c, No. 15
Energy of formation from the pure elements (eV per atom): -0.86
Crystal system: monoclinic

a b c (Å): 9.126 9.126 24.847
angles (deg): 84.75 84.75 89.99
Positions (direct):
Te1 0.612 0.237 0.553
Te2 0.888 0.763 0.448
Te3 0.063 0.170 0.821
Te4 0.763 0.388 0.947
Te5 0.237 0.612 0.053
Te6 0.670 0.528 0.320
Te7 0.830 0.473 0.680
Te8 0.527 0.170 0.820
Te9 0.170 0.527 0.320
Te10 0.528 0.670 0.820
Te11 0.473 0.830 0.180
Te12 0.170 0.063 0.321
Te13 0.763 0.888 0.948
Te14 0.112 0.237 0.552
Te15 0.237 0.112 0.052
Te16 0.062 0.670 0.820
Te17 0.937 0.830 0.179
Te18 0.388 0.763 0.447
Te19 0.938 0.330 0.180
Te20 0.472 0.330 0.180
Te21 0.830 0.937 0.679
Te22 0.330 0.938 0.680
Te23 0.670 0.062 0.320
Te24 0.330 0.472 0.680
Cd1 0.435 0.565 0.250
Cd2 0.940 0.565 0.250
Cd3 0.060 0.940 0.750
Cd4 0.435 0.060 0.250
Cd5 0.565 0.435 0.750
Cd6 0.060 0.435 0.750
Cd7 0.565 0.940 0.750
Cd8 0.940 0.060 0.250
In1 0.219 0.344 0.122
In2 0.844 0.220 0.622
In3 0.156 0.780 0.378
In4 0.220 0.844 0.122
In5 0.781 0.656 0.878
In6 0.656 0.781 0.378
In7 0.344 0.219 0.622
In8 0.780 0.156 0.878
Cs1 0.269 0.894 0.924
Cs2 0.731 0.605 0.076
Cs3 0.106 0.731 0.576
Cs4 0.605 0.731 0.576
Cs5 0.269 0.395 0.924
Cs6 0.894 0.269 0.424
Cs7 0.395 0.269 0.424
Cs8 0.731 0.106 0.076



# 8
The following is a PBE calculation of an optimized crystal structure of CsLaCdTe3, from the Materials Project.

V (Å³/cell): 503
SG: Cmcm, No. 63
Energy of formation from the pure elements (eV per atom): -1.37
Crystal system: orthorhombic

a b c (Å): 4.716 8.977 12.305
angles (deg): 90.00 90.00 105.23
Positions (direct):
Te1 0.934 0.867 0.250
Te2 0.623 0.246 0.444
Te3 0.377 0.754 0.944
Te4 0.066 0.133 0.750
Te5 0.377 0.754 0.556
Te6 0.623 0.246 0.056
Cs1 0.750 0.500 0.750
Cs2 0.250 0.500 0.250
La1 0.000 0.000 0.500
La2 0.000 0.000 0.000
Cd1 0.466 0.931 0.750
Cd2 0.534 0.069 0.250



# 9
The following is a PBE calculation of an optimized crystal structure of CsLuCdTe3, from the Materials Project.

V (Å³/cell): 460
SG: Cmcm, No. 63
Energy of formation from the pure elements (eV per atom): -1.25
Crystal system: orthorhombic

a b c (Å): 8.974 8.974 11.786
angles (deg): 90.00 90.00 150.98
Positions (direct):
Te1 0.382 0.618 0.958
Te2 0.936 0.064 0.250
Te3 0.618 0.382 0.458
Te4 0.618 0.382 0.042
Te5 0.382 0.618 0.542
Te6 0.064 0.936 0.750
Cd1 0.461 0.539 0.750
Cd2 0.539 0.461 0.250
Lu1 0.000 0.000 0.500
Lu2 0.000 0.000 0.000
Cs1 0.249 0.751 0.250
Cs2 0.751 0.249 0.750



# 10
The following is a PBE calculation of an optimized crystal structure of CsNdCdTe3, from the Materials Project.

V (Å³/cell): 488
SG: Cmcm, No. 63
Energy of formation from the pure elements (eV per atom): -1.31
Crystal system: orthorhombic

a b c (Å): 4.630 8.981 12.139
angles (deg): 90.00 90.00 104.94
Positions (direct):
Cd1 0.539 0.077 0.250
Cd2 0.461 0.923 0.750
Nd1 0.000 0.000 0.500
Nd2 0.000 0.000 0.000
Te1 0.377 0.754 0.551
Te2 0.936 0.871 0.250
Te3 0.064 0.129 0.750
Te4 0.623 0.246 0.449
Te5 0.623 0.246 0.051
Te6 0.377 0.754 0.949
Cs1 0.747 0.495 0.750
Cs2 0.253 0.505 0.250



# 11
The following is a PBE calculation of an optimized crystal structure of Cs2CdP2O7, from the Materials Project.

V (Å³/cell): 965
SG: Pnma, No. 62
Energy of formation from the pure elements (eV per atom): -2.54
Crystal system: orthorhombic

a b c (Å): 5.572 10.245 16.909
angles (deg): 90.00 90.00 90.00
Positions (direct):
O1 0.250 0.603 0.188
O2 0.250 0.824 0.829
O3 0.022 0.809 0.223
O4 0.750 0.397 0.812
O5 0.250 0.664 0.477
O6 0.978 0.191 0.777
O7 0.522 0.191 0.777
O8 0.479 0.850 0.408
O9 0.979 0.350 0.092
O10 0.021 0.650 0.908
O11 0.978 0.309 0.277
O12 0.750 0.176 0.171
O13 0.750 0.324 0.671
O14 0.750 0.103 0.312
O15 0.478 0.809 0.223
O16 0.250 0.897 0.688
O17 0.979 0.150 0.592
O18 0.479 0.650 0.908
O19 0.521 0.150 0.592
O20 0.522 0.309 0.277
O21 0.250 0.836 0.977
O22 0.750 0.164 0.023
O23 0.021 0.850 0.408
O24 0.478 0.691 0.723
O25 0.022 0.691 0.723
O26 0.521 0.350 0.092
O27 0.750 0.336 0.523
O28 0.250 0.676 0.329
Cd1 0.750 0.612 0.811
Cd2 0.250 0.112 0.689
Cd3 0.750 0.888 0.311
Cd4 0.250 0.388 0.189
P1 0.750 0.228 0.263
P2 0.250 0.728 0.237
P3 0.250 0.734 0.911
P4 0.250 0.772 0.737
P5 0.750 0.234 0.589
P6 0.250 0.766 0.411
P7 0.750 0.266 0.089
P8 0.750 0.272 0.763
Cs1 0.750 0.976 0.890
Cs2 0.250 0.148 0.422
Cs3 0.750 0.852 0.578
Cs4 0.250 0.476 0.610
Cs5 0.750 0.648 0.078
Cs6 0.250 0.352 0.922
Cs7 0.750 0.524 0.390
Cs8 0.250 0.024 0.110



# 12
The following is a PBE calculation of an optimized crystal structure of CsPrCdTe3, from the Materials Project.

V (Å³/cell): 495
SG: Cmcm, No. 63
Energy of formation from the pure elements (eV per atom): -1.32
Crystal system: orthorhombic

a b c (Å): 4.662 9.007 12.201
angles (deg): 90.00 90.00 105.00
Positions (direct):
Cd1 0.465 0.930 0.250
Cd2 0.535 0.070 0.750
Pr1 0.000 0.000 0.500
Pr2 0.000 0.000 0.000
Te1 0.377 0.754 0.054
Te2 0.623 0.246 0.554
Te3 0.066 0.133 0.250
Te4 0.623 0.246 0.946
Te5 0.934 0.867 0.750
Te6 0.377 0.754 0.446
Cs1 0.750 0.500 0.250
Cs2 0.250 0.500 0.750



# 13
The following is a PBE calculation of an optimized crystal structure of CsYCdSe3, from the Materials Project.

V (Å³/cell): 396
SG: Cmcm, No. 63
Energy of formation from the pure elements (eV per atom): -1.60
Crystal system: orthorhombic

a b c (Å): 8.469 8.469 11.228
angles (deg): 90.00 90.00 150.53
Positions (direct):
Se1 0.617 0.383 0.545
Se2 0.383 0.617 0.045
Se3 0.060 0.940 0.250
Se4 0.940 0.060 0.750
Se5 0.383 0.617 0.455
Se6 0.617 0.383 0.955
Cs1 0.744 0.256 0.250
Cs2 0.256 0.744 0.750
Cd1 0.539 0.461 0.750
Cd2 0.461 0.539 0.250
Y1 0.000 0.000 0.000
Y2 0.000 0.000 0.500



# 14
The following is a PBE calculation of an optimized crystal structure of CsTbCdTe3, from the Materials Project.

V (Å³/cell): 472
SG: Cmcm, No. 63
Energy of formation from the pure elements (eV per atom): -1.30
Crystal system: orthorhombic

a b c (Å): 4.560 8.985 11.917
angles (deg): 90.00 90.00 104.70
Positions (direct):
Tb1 0.000 0.000 0.000
Tb2 0.000 0.000 0.500
Cs1 0.249 0.498 0.750
Cs2 0.751 0.502 0.250
Te1 0.065 0.131 0.250
Te2 0.380 0.760 0.453
Te3 0.935 0.869 0.750
Te4 0.620 0.240 0.953
Te5 0.620 0.240 0.547
Te6 0.380 0.760 0.047
Cd1 0.463 0.927 0.250
Cd2 0.537 0.073 0.750



# 15
The following is a PBE calculation of an optimized crystal structure of CsTmCdTe3, from the Materials Project.

V (Å³/cell): 464
SG: Cmcm, No. 63
Energy of formation from the pure elements (eV per atom): -1.27
Crystal system: orthorhombic

a b c (Å): 4.516 8.976 11.819
angles (deg): 90.00 90.00 104.57
Positions (direct):
Cs1 0.751 0.503 0.750
Cs2 0.249 0.497 0.250
Te1 0.381 0.762 0.544
Te2 0.619 0.238 0.044
Te3 0.619 0.238 0.456
Te4 0.065 0.129 0.750
Te5 0.381 0.762 0.956
Te6 0.935 0.871 0.250
Cd1 0.538 0.076 0.250
Cd2 0.462 0.924 0.750
Tm1 0.000 0.000 0.500
Tm2 0.000 0.000 0.000